# 1
{
  "formula": "Ca3YTi4O12",
  "functional": "PBE",
  "state": "optimized geometry",
  "spacegroup": "Pm",
  "final_energy_ev_per_atom": -8.355,
  "energy_corrected_mp2020_ev_per_fu": -175.343,
  "m_tot_mub_per_cell": 0.0,
  "density_g_cm3": 4.3,
  "lattice_angstrom": [[5.4020, 0.0000, 0.0000], [0.0000, 7.7240, 0.0000], [-0.0192, 0.0000, 5.5333]],
  "species": ["Ca", "Ca", "Ca", "Y", "Ti", "Ti", "Ti", "Ti", "O", "O", "O", "O", "O", "O", "O", "O", "O", "O", "O", "O"],
  "frac_coords": [[0.0000, 0.0000, 0.0000], [0.0183, 0.5000, 0.0933], [0.5009, 0.5000, 0.5940], [0.5170, 0.0000, 0.4920], [0.0108, 0.2523, 0.5480], [0.0108, 0.7477, 0.5480], [0.5078, 0.2520, 0.0461], [0.5078, 0.7480, 0.0461], [0.1003, 0.0000, 0.5683], [0.2114, 0.2911, 0.8431], [0.2114, 0.7089, 0.8431], [0.3089, 0.2872, 0.3452], [0.3089, 0.7128, 0.3452], [0.4305, 0.0000, 0.0754], [0.5891, 0.5000, 0.0254], [0.7066, 0.2027, 0.7460], [0.7066, 0.7973, 0.7460], [0.8015, 0.2043, 0.2568], [0.8015, 0.7957, 0.2568], [0.9318, 0.5000, 0.5256]]
}

***

# 2
{
  "formula": "Ba2Zn2ClF7",
  "functional": "PBE",
  "state": "optimized geometry",
  "spacegroup": "P2_1/m",
  "final_energy_ev_per_atom": -4.736,
  "energy_corrected_mp2020_ev_per_fu": -60.061,
  "m_tot_mub_per_cell": 0.0,
  "density_g_cm3": 4.8,
  "lattice_angstrom": [[7.8313, 0.0000, 0.0000], [0.0000, 5.8902, 0.0000], [-2.6199, 0.0000, 8.6719]],
  "species": ["Ba", "Ba", "Ba", "Ba", "Zn", "Zn", "Zn", "Zn", "Cl", "Cl", "F", "F", "F", "F", "F", "F", "F", "F", "F", "F", "F", "F", "F", "F"],
  "frac_coords": [[0.1675, 0.2500, 0.4126], [0.1962, 0.2500, 0.9256], [0.8038, 0.7500, 0.0744], [0.8325, 0.7500, 0.5874], [0.3176, 0.7500, 0.1746], [0.3273, 0.7500, 0.7339], [0.6727, 0.2500, 0.2661], [0.6824, 0.2500, 0.8254], [0.3821, 0.7500, 0.4703], [0.6179, 0.2500, 0.5297], [0.1295, 0.5068, 0.1607], [0.1295, 0.9932, 0.1607], [0.1384, 0.5021, 0.6545], [0.1384, 0.9979, 0.6545], [0.2461, 0.7500, 0.9337], [0.4949, 0.0014, 0.1717], [0.4949, 0.4986, 0.1717], [0.5051, 0.5014, 0.8283], [0.5051, 0.9986, 0.8283], [0.7539, 0.2500, 0.0663], [0.8616, 0.0021, 0.3455], [0.8616, 0.4979, 0.3455], [0.8705, 0.0068, 0.8393], [0.8705, 0.4932, 0.8393]]
}

***

# 3
{
  "formula": "Ac2NiIr",
  "functional": "PBE",
  "state": "optimized geometry",
  "spacegroup": "Fm-3m",
  "final_energy_ev_per_atom": -6.047,
  "density_g_cm3": 11.6,
  "lattice_angstrom": [[7.3918, 0.0000, 0.0000], [0.0000, 7.3918, 0.0000], [0.0000, 0.0000, 7.3918]],
  "species": ["Ac", "Ac", "Ac", "Ac", "Ac", "Ac", "Ac", "Ac", "Ni", "Ni", "Ni", "Ni", "Ir", "Ir", "Ir", "Ir"],
  "frac_coords": [[0.2500, 0.2500, 0.2500], [0.2500, 0.2500, 0.7500], [0.2500, 0.7500, 0.2500], [0.2500, 0.7500, 0.7500], [0.7500, 0.2500, 0.2500], [0.7500, 0.2500, 0.7500], [0.7500, 0.7500, 0.2500], [0.7500, 0.7500, 0.7500], [0.0000, 0.0000, 0.0000], [0.0000, 0.5000, 0.5000], [0.5000, 0.0000, 0.5000], [0.5000, 0.5000, 0.0000], [0.0000, 0.0000, 0.5000], [0.0000, 0.5000, 0.0000], [0.5000, 0.0000, 0.0000], [0.5000, 0.5000, 0.5000]]
}

***

# 4
{
  "formula": "Te4Mo3WSe4",
  "functional": "PBE",
  "state": "optimized geometry",
  "spacegroup": "P3m1",
  "de_polymorph_ev_per_fu": 0.24,
  "final_energy_ev_per_atom": -6.401,
  "energy_corrected_mp2020_ev_per_fu": -78.703,
  "m_tot_mub_per_cell": 0.0,
  "density_g_cm3": 5.4,
  "lattice_angstrom": [[3.4402, 0.0000, 0.0000], [-1.7201, 2.9793, 0.0000], [0.0000, 0.0000, 39.0635]],
  "species": ["Te", "Te", "Te", "Te", "Mo", "Mo", "Mo", "W", "Se", "Se", "Se", "Se"],
  "frac_coords": [[0.0000, 0.0000, 0.0000], [0.0000, 0.0000, 0.0949], [0.0000, 0.0000, 0.3755], [0.0000, 0.0000, 0.4710], [0.0000, 0.0000, 0.2353], [0.0000, 0.0000, 0.8596], [0.3333, 0.6667, 0.0475], [0.3333, 0.6667, 0.4232], [0.3333, 0.6667, 0.1934], [0.3333, 0.6667, 0.2772], [0.3333, 0.6667, 0.8178], [0.3333, 0.6667, 0.9014]]
}

***

# 5
{
  "formula": "Rb2PdSe16",
  "functional": "PBE",
  "state": "optimized geometry",
  "spacegroup": "P-4b2",
  "final_energy_ev_per_atom": -3.596,
  "energy_corrected_mp2020_ev_per_fu": -75.869,
  "density_g_cm3": 4.3,
  "lattice_angstrom": [[12.9665, 0.0000, 0.0000], [0.0000, 12.9665, 0.0000], [0.0000, 0.0000, 7.0730]],
  "species": ["Rb", "Rb", "Rb", "Rb", "Pd", "Pd", "Se", "Se", "Se", "Se", "Se", "Se", "Se", "Se", "Se", "Se", "Se", "Se", "Se", "Se", "Se", "Se", "Se", "Se", "Se", "Se", "Se", "Se", "Se", "Se", "Se", "Se", "Se", "Se", "Se", "Se", "Se", "Se"],
  "frac_coords": [[0.0000, 0.0000, 0.0000], [0.0000, 0.5000, 0.5000], [0.5000, 0.0000, 0.5000], [0.5000, 0.5000, 0.0000], [0.0000, 0.0000, 0.5000], [0.5000, 0.5000, 0.5000], [0.0341, 0.1870, 0.5319], [0.0771, 0.6913, 0.9138], [0.0808, 0.3079, 0.0898], [0.1870, 0.9659, 0.4681], [0.1913, 0.5771, 0.0862], [0.1921, 0.4192, 0.9102], [0.2021, 0.7894, 0.3730], [0.2106, 0.2021, 0.6270], [0.2894, 0.7021, 0.6270], [0.2979, 0.2894, 0.3730], [0.3079, 0.9192, 0.9102], [0.3087, 0.0771, 0.0862], [0.3130, 0.4659, 0.4681], [0.4192, 0.8079, 0.0898], [0.4229, 0.1913, 0.9138], [0.4659, 0.6870, 0.5319], [0.5341, 0.3130, 0.5319], [0.5771, 0.8087, 0.9138], [0.5808, 0.1921, 0.0898], [0.6870, 0.5341, 0.4681], [0.6913, 0.9229, 0.0862], [0.6921, 0.0808, 0.9102], [0.7021, 0.7106, 0.3730], [0.7106, 0.2979, 0.6270], [0.7894, 0.7979, 0.6270], [0.7979, 0.2106, 0.3730], [0.8079, 0.5808, 0.9102], [0.8087, 0.4229, 0.0862], [0.8130, 0.0341, 0.4681], [0.9192, 0.6921, 0.0898], [0.9229, 0.3087, 0.9138], [0.9659, 0.8130, 0.5319]]
}

***

# 6
{
  "formula": "LaCe3",
  "functional": "PBE",
  "state": "optimized geometry",
  "spacegroup": "Pm-3m",
  "final_energy_ev_per_atom": -5.620,
  "density_g_cm3": 8.4,
  "lattice_angstrom": [[4.8000, 0.0000, 0.0000], [0.0000, 4.8000, 0.0000], [0.0000, 0.0000, 4.8000]],
  "species": ["La", "Ce", "Ce", "Ce"],
  "frac_coords": [[0.0000, 0.0000, 0.0000], [0.0000, 0.5000, 0.5000], [0.5000, 0.0000, 0.5000], [0.5000, 0.5000, 0.0000]]
}

***

# 7
{
  "formula": "Ag2TeO4",
  "functional": "PBE",
  "state": "optimized geometry",
  "spacegroup": "P-1",
  "de_polymorph_ev_per_fu": 0.62,
  "final_energy_ev_per_atom": -4.572,
  "energy_corrected_mp2020_ev_per_fu": -34.755,
  "m_tot_mub_per_cell": 0.0,
  "density_g_cm3": 6.0,
  "lattice_angstrom": [[6.2098, 0.0000, 0.0000], [-2.7528, 5.6001, 0.0000], [-1.7685, -2.7719, 6.5323]],
  "species": ["Ag", "Ag", "Ag", "Ag", "Te", "Te", "O", "O", "O", "O", "O", "O", "O", "O"],
  "frac_coords": [[0.0202, 0.4713, 0.2490], [0.2829, 0.2211, 0.7492], [0.7171, 0.7789, 0.2508], [0.9798, 0.5287, 0.7510], [0.3778, 0.1231, 0.2508], [0.6222, 0.8769, 0.7492], [0.1878, 0.1517, 0.4076], [0.2453, 0.7755, 0.0952], [0.2722, 0.7457, 0.5920], [0.3497, 0.3107, 0.0904], [0.6503, 0.6893, 0.9096], [0.7278, 0.2543, 0.4080], [0.7547, 0.2245, 0.9048], [0.8122, 0.8483, 0.5924]]
}

***

# 8
{
  "formula": "RbYBeF6",
  "functional": "PBE",
  "state": "optimized geometry",
  "spacegroup": "P2_1/m",
  "final_energy_ev_per_atom": -6.090,
  "energy_corrected_mp2020_ev_per_fu": -57.584,
  "m_tot_mub_per_cell": 0.0,
  "density_g_cm3": 3.8,
  "lattice_angstrom": [[6.5651, 0.0000, 0.0000], [0.0000, 5.9130, 0.0000], [-2.9148, 0.0000, 6.6483]],
  "species": ["Rb", "Rb", "Y", "Y", "Be", "Be", "F", "F", "F", "F", "F", "F", "F", "F", "F", "F", "F", "F"],
  "frac_coords": [[0.0785, 0.2500, 0.2123], [0.9215, 0.7500, 0.7877], [0.3914, 0.2500, 0.8196], [0.6086, 0.7500, 0.1804], [0.2327, 0.7500, 0.4644], [0.7673, 0.2500, 0.5356], [0.0063, 0.7500, 0.2723], [0.2414, 0.5360, 0.5951], [0.2414, 0.9640, 0.5951], [0.3244, 0.5010, 0.0310], [0.3244, 0.9990, 0.0310], [0.4305, 0.7500, 0.3989], [0.5695, 0.2500, 0.6011], [0.6756, 0.0010, 0.9690], [0.6756, 0.4990, 0.9690], [0.7586, 0.0360, 0.4049], [0.7586, 0.4640, 0.4049], [0.9937, 0.2500, 0.7277]]
}

***

# 9
{
  "formula": "In9Sn4S17",
  "functional": "PBE",
  "state": "optimized geometry",
  "spacegroup": "Pbam",
  "final_energy_ev_per_atom": -4.181,
  "energy_corrected_mp2020_ev_per_fu": -133.977,
  "m_tot_mub_per_cell": 0.1,
  "density_g_cm3": 5.0,
  "lattice_angstrom": [[15.3934, 0.0000, 0.0000], [0.0000, 22.8368, 0.0000], [0.0000, 0.0000, 3.8864]],
  "species": ["In", "In", "In", "In", "In", "In", "In", "In", "In", "In", "In", "In", "In", "In", "In", "In", "In", "In", "Sn", "Sn", "Sn", "Sn", "Sn", "Sn", "Sn", "Sn", "S", "S", "S", "S", "S", "S", "S", "S", "S", "S", "S", "S", "S", "S", "S", "S", "S", "S", "S", "S", "S", "S", "S", "S", "S", "S", "S", "S", "S", "S", "S", "S", "S", "S"],
  "frac_coords": [[0.0000, 0.0000, 0.0000], [0.0516, 0.4206, 0.0000], [0.0672, 0.1362, 0.5000], [0.1685, 0.2592, 0.0000], [0.2292, 0.8892, 0.5000], [0.2708, 0.3892, 0.5000], [0.3315, 0.7592, 0.0000], [0.4328, 0.6362, 0.5000], [0.4484, 0.9206, 0.0000], [0.5000, 0.5000, 0.0000], [0.5516, 0.0794, 0.0000], [0.5672, 0.3638, 0.5000], [0.6685, 0.2408, 0.0000], [0.7292, 0.6108, 0.5000], [0.7708, 0.1108, 0.5000], [0.8315, 0.7408, 0.0000], [0.9328, 0.8638, 0.5000], [0.9484, 0.5794, 0.0000], [0.0903, 0.7162, 0.5000], [0.2047, 0.5642, 0.5000], [0.2953, 0.0642, 0.5000], [0.4097, 0.2162, 0.5000], [0.5903, 0.7838, 0.5000], [0.7047, 0.9358, 0.5000], [0.7953, 0.4358, 0.5000], [0.9097, 0.2838, 0.5000], [0.0000, 0.5000, 0.5000], [0.0196, 0.2102, 0.0000], [0.0674, 0.9335, 0.5000], [0.1007, 0.3413, 0.5000], [0.1041, 0.6275, 0.0000], [0.1338, 0.0704, 0.0000], [0.1899, 0.8168, 0.0000], [0.2115, 0.4597, 0.0000], [0.2230, 0.1916, 0.5000], [0.2770, 0.6916, 0.5000], [0.2885, 0.9597, 0.0000], [0.3101, 0.3168, 0.0000], [0.3662, 0.5704, 0.0000], [0.3959, 0.1275, 0.0000], [0.3993, 0.8413, 0.5000], [0.4326, 0.4335, 0.5000], [0.4804, 0.7102, 0.0000], [0.5000, 0.0000, 0.5000], [0.5196, 0.2898, 0.0000], [0.5674, 0.5665, 0.5000], [0.6007, 0.1587, 0.5000], [0.6041, 0.8725, 0.0000], [0.6338, 0.4296, 0.0000], [0.6899, 0.6832, 0.0000], [0.7115, 0.0403, 0.0000], [0.7230, 0.3084, 0.5000], [0.7770, 0.8084, 0.5000], [0.7885, 0.5403, 0.0000], [0.8101, 0.1832, 0.0000], [0.8662, 0.9296, 0.0000], [0.8959, 0.3725, 0.0000], [0.8993, 0.6587, 0.5000], [0.9326, 0.0665, 0.5000], [0.9804, 0.7898, 0.0000]]
}

***

# 10
{
  "formula": "NiAgTe2",
  "functional": "PBE",
  "state": "optimized geometry",
  "spacegroup": "R3m",
  "final_energy_ev_per_atom": -3.781,
  "energy_corrected_mp2020_ev_per_fu": -15.970,
  "m_tot_mub_per_cell": 0.0,
  "density_g_cm3": 7.2,
  "lattice_angstrom": [[4.0049, 0.0000, 0.0000], [-2.0025, 3.4684, 0.0000], [0.0000, 0.0000, 21.1187]],
  "species": ["Ni", "Ni", "Ni", "Ag", "Ag", "Ag", "Te", "Te", "Te", "Te", "Te", "Te"],
  "frac_coords": [[0.0000, 0.0000, 0.0000], [0.3333, 0.6667, 0.6667], [0.6667, 0.3333, 0.3333], [0.0000, 0.0000, 0.8542], [0.3333, 0.6667, 0.5209], [0.6667, 0.3333, 0.1876], [0.0000, 0.0000, 0.2699], [0.0000, 0.0000, 0.7262], [0.3333, 0.6667, 0.3928], [0.3333, 0.6667, 0.9366], [0.6667, 0.3333, 0.0595], [0.6667, 0.3333, 0.6033]]
}

***

# 11
{
  "formula": "Ca3AsI3",
  "functional": "PBE",
  "state": "optimized geometry",
  "spacegroup": "I4_132",
  "final_energy_ev_per_atom": -3.704,
  "energy_corrected_mp2020_ev_per_fu": -27.062,
  "piezo_max_c_m2": 0.00,
  "density_g_cm3": 3.9,
  "lattice_angstrom": [[-6.2654, 6.2654, 6.2654], [6.2654, -6.2654, 6.2654], [6.2654, 6.2654, -6.2654]],
  "species": ["Ca", "Ca", "Ca", "Ca", "Ca", "Ca", "Ca", "Ca", "Ca", "Ca", "Ca", "Ca", "As", "As", "As", "As", "I", "I", "I", "I", "I", "I", "I", "I", "I", "I", "I", "I"],
  "frac_coords": [[0.0151, 0.0303, 0.2651], [0.0151, 0.4849, 0.7500], [0.0303, 0.2651, 0.0151], [0.2349, 0.2651, 0.7500], [0.2349, 0.4697, 0.4849], [0.2651, 0.0151, 0.0303], [0.2651, 0.7500, 0.2349], [0.4697, 0.4849, 0.2349], [0.4849, 0.2349, 0.4697], [0.4849, 0.7500, 0.0151], [0.7500, 0.0151, 0.4849], [0.7500, 0.2349, 0.2651], [0.0000, 0.2500, 0.5000], [0.2500, 0.2500, 0.2500], [0.2500, 0.5000, 0.0000], [0.5000, 0.0000, 0.2500], [0.2500, 0.7531, 0.7469], [0.2500, 0.9969, 0.5031], [0.5031, 0.2500, 0.9969], [0.5031, 0.7531, 0.5063], [0.5063, 0.5031, 0.7531], [0.7469, 0.2500, 0.7531], [0.7469, 0.9969, 0.9937], [0.7531, 0.5063, 0.5031], [0.7531, 0.7469, 0.2500], [0.9937, 0.7469, 0.9969], [0.9969, 0.5031, 0.2500], [0.9969, 0.9937, 0.7469]]
}

***

# 12
{
  "formula": "UTe5",
  "functional": "PBE",
  "state": "optimized geometry",
  "spacegroup": "Pna2_1",
  "final_energy_ev_per_atom": -4.859,
  "energy_corrected_mp2020_ev_per_fu": -31.263,
  "density_g_cm3": 7.2,
  "lattice_angstrom": [[18.3829, 0.0000, 0.0000], [0.0000, 4.2840, 0.0000], [0.0000, 0.0000, 10.3121]],
  "species": ["U", "U", "U", "U", "Te", "Te", "Te", "Te", "Te", "Te", "Te", "Te", "Te", "Te", "Te", "Te", "Te", "Te", "Te", "Te", "Te", "Te", "Te", "Te"],
  "frac_coords": [[0.0904, 0.1144, 0.0000], [0.4096, 0.6144, 0.5000], [0.5904, 0.3856, 0.0000], [0.9096, 0.8856, 0.5000], [0.0040, 0.0224, 0.7444], [0.0362, 0.3750, 0.5000], [0.1586, 0.6130, 0.1890], [0.1654, 0.6144, 0.8207], [0.2430, 0.8392, 0.5103], [0.2570, 0.3392, 0.0103], [0.3346, 0.1144, 0.3207], [0.3414, 0.1130, 0.6890], [0.4638, 0.8750, 0.0000], [0.4960, 0.5224, 0.2444], [0.5040, 0.4776, 0.7444], [0.5362, 0.1250, 0.5000], [0.6586, 0.8870, 0.1890], [0.6654, 0.8856, 0.8207], [0.7430, 0.6608, 0.5103], [0.7570, 0.1608, 0.0103], [0.8346, 0.3856, 0.3207], [0.8414, 0.3870, 0.6890], [0.9638, 0.6250, 0.0000], [0.9960, 0.9776, 0.2444]]
}